Record 1
Here is a relaxed structure of Ca2TbFeO6 from Materials Project. Energies are from PBE with a Hubbard U. Values from VASP.

## Properties
Calculated density, Mg/m³: 4.95
E_form, eV per formula unit: -25.8
Space group: Fm-3m, No. 225

Structure (Quantum ESPRESSO input):
```
&SYSTEM
  ibrav = 0, nat = 10, ntyp = 4
/
ATOMIC_SPECIES
O 16.00 O.upf
Fe 55.84 Fe.upf
Ca 40.08 Ca.upf
Tb 158.93 Tb.upf
ATOMIC_POSITIONS angstrom
O 4.033 -6.206 -4.033
O 4.033 -4.033 -6.206
O 4.033 -4.033 -1.860
O 6.206 -4.033 -4.033
O 4.033 -1.860 -4.033
O 1.860 -4.033 -4.033
Fe 0.000 0.000 0.000
Ca 6.049 -6.049 -6.049
Ca 2.016 -2.016 -2.016
Tb 4.033 -4.033 -4.033
CELL_PARAMETERS angstrom
0.000 -4.033 -4.033
4.033 0.000 -4.033
4.033 -4.033 0.000
```

---

Record 2
Here is a relaxed structure of Ca3TiFe2O8 from Materials Project. Energies are from PBE with a Hubbard U. Values from VASP.

## Properties
Calculated density, Mg/m³: 3.89
E_form, eV per formula unit: -39.6
Space group: P2_1, No. 4

Structure (Quantum ESPRESSO input):
```
&SYSTEM
  ibrav = 0, nat = 28, ntyp = 4
/
ATOMIC_SPECIES
O 16.00 O.upf
Ca 40.08 Ca.upf
Fe 55.84 Fe.upf
Ti 47.87 Ti.upf
ATOMIC_POSITIONS angstrom
O 5.441 3.689 5.694
O 2.687 1.890 5.643
O 2.927 0.974 9.699
O 2.912 0.969 1.648
O 4.019 2.952 7.960
O 1.516 5.475 4.009
O 4.233 0.137 4.009
O 0.509 2.065 11.333
O 0.159 4.610 9.688
O 1.480 5.442 7.327
O 4.269 0.104 7.328
O 1.266 2.627 3.376
O 0.174 4.605 1.637
O 3.262 3.515 0.003
O 3.986 2.890 3.368
O 1.233 2.689 7.968
Ca 2.577 4.312 2.120
Ca 0.108 1.286 5.666
Ca 5.331 1.267 9.216
Ca 5.332 1.267 2.115
Ca 2.579 4.312 9.222
Ca 2.861 4.293 5.670
Fe 5.488 4.147 3.725
Fe 2.445 1.742 0.011
Fe 2.735 1.432 7.612
Fe 5.198 3.838 11.326
Ti 5.487 4.098 7.515
Ti 2.734 1.481 3.821
CELL_PARAMETERS angstrom
5.506 0.000 0.000
0.000 5.571 0.000
0.000 0.008 11.337
```

---

Record 3
Here is a relaxed structure of CaTi2FeO6 from Materials Project. Energies are from PBE with a Hubbard U. Values from VASP.

## Properties
Calculated density, Mg/m³: 4.37
E_form, eV per formula unit: -31.2
Space group: P4_2/nmc, No. 137

Structure (Quantum ESPRESSO input):
```
&SYSTEM
  ibrav = 0, nat = 40, ntyp = 4
/
ATOMIC_SPECIES
O 16.00 O.upf
Ti 47.87 Ti.upf
Ca 40.08 Ca.upf
Fe 55.84 Fe.upf
ATOMIC_POSITIONS angstrom
O 1.464 6.109 3.813
O 3.787 5.353 2.443
O 2.322 2.322 0.000
O 5.353 3.787 5.184
O 2.220 3.787 5.184
O 1.475 3.787 2.187
O 3.787 6.099 5.439
O 6.099 3.787 2.187
O 1.566 0.000 6.256
O 5.251 5.251 0.000
O 2.312 0.000 1.626
O 3.787 2.220 2.443
O 0.000 6.007 1.370
O 0.000 1.566 1.370
O 6.007 0.000 6.256
O 0.000 2.312 6.001
O 5.251 2.322 0.000
O 5.262 0.000 1.626
O 3.787 1.475 5.439
O 0.000 5.262 6.001
O 6.109 6.109 3.813
O 2.322 5.251 0.000
O 1.464 1.464 3.813
O 6.109 1.464 3.813
Ti 5.680 5.680 1.907
Ti 1.893 5.680 5.720
Ti 1.893 5.680 1.907
Ti 5.680 5.680 5.720
Ti 5.680 1.893 1.907
Ti 5.680 1.893 5.720
Ti 1.893 1.893 5.720
Ti 1.893 1.893 1.907
Ca 0.000 3.787 0.214
Ca 3.787 0.000 7.412
Ca 3.787 0.000 3.599
Ca 0.000 3.787 4.027
Fe 0.000 0.000 0.000
Fe 3.787 3.787 3.813
Fe 0.000 0.000 3.813
Fe 3.787 3.787 0.000
CELL_PARAMETERS angstrom
7.574 0.000 0.000
0.000 7.574 0.000
0.000 0.000 7.626
```

---

Record 4
Here is a relaxed structure of Ca6V3Fe7O24 from Materials Project. Energies are from PBE with a Hubbard U. Values from VASP.

## Properties
Calculated density, Mg/m³: 3.85
E_form, eV per formula unit: -97.8
Space group: I-43d, No. 220

Structure (Quantum ESPRESSO input):
```
&SYSTEM
  ibrav = 0, nat = 80, ntyp = 4
/
ATOMIC_SPECIES
O 16.00 O.upf
Ca 40.08 Ca.upf
Fe 55.84 Fe.upf
V 50.94 V.upf
ATOMIC_POSITIONS angstrom
O 2.129 -7.137 0.219
O 0.779 -5.910 3.198
O 3.972 -4.956 0.025
O -3.890 -6.657 -3.099
O -3.567 -2.593 7.043
O 2.387 -3.432 7.311
O 2.726 -5.543 5.330
O -2.263 -2.896 9.725
O -0.448 -3.152 3.010
O -8.024 -2.582 3.603
O -4.250 -6.019 1.106
O -1.471 -1.233 -0.570
O -1.087 -1.960 5.943
O -2.756 -7.992 -0.585
O -0.295 -0.354 1.948
O -2.112 -5.546 3.248
O 5.305 -6.805 -1.921
O 0.007 -4.603 5.859
O 0.303 -8.608 4.412
O -3.282 -3.045 4.168
O 3.199 -7.244 3.016
O 0.259 -1.940 8.620
O -4.381 -2.805 1.390
O 5.676 -5.020 5.259
O -7.200 -5.000 -1.139
O 3.208 -4.336 2.884
O -0.979 -9.403 2.070
O 1.397 -4.832 -1.921
O -4.945 -5.234 3.836
O 1.805 -2.268 4.538
O 5.297 -2.823 6.929
O -2.464 -8.369 4.188
O 1.213 -7.318 -5.386
O -0.017 -8.006 -1.568
O -1.478 -5.664 -1.776
O -6.395 -3.400 5.710
O 1.410 -1.412 -0.166
O -2.894 -5.353 5.897
O -4.247 -4.529 -1.338
O 0.938 -4.198 0.832
O -6.846 -4.594 1.721
O 6.881 -7.786 0.326
O -0.824 -6.656 0.881
O -1.831 -3.916 0.716
O -6.770 -7.400 -2.736
O 5.677 -5.693 2.100
O 2.607 -7.525 -2.742
O -1.243 -8.063 -4.302
Ca 4.461 -7.194 0.622
Ca 1.039 -8.168 2.135
Ca -5.679 -2.866 3.447
Ca -2.803 -7.799 1.916
Ca -0.243 -3.368 -1.045
Ca 0.265 -6.360 -3.440
Ca 3.917 -3.349 5.079
Ca -2.250 -1.926 1.929
Ca -5.105 -6.708 -0.992
Ca 1.591 -2.282 2.180
Ca -1.453 -3.710 7.495
Ca -0.938 -6.722 5.127
Fe 2.193 -3.663 -3.279
Fe -3.677 -4.317 0.468
Fe -1.170 -9.827 3.975
Fe 2.388 -0.415 4.807
Fe -2.944 -1.446 5.580
Fe -0.570 -4.789 1.937
Fe -3.118 -8.161 -3.980
Fe 2.109 -5.281 -0.211
Fe -5.300 -3.351 7.269
Fe -3.129 -4.860 -2.914
Fe -5.210 -1.208 0.611
Fe 4.844 -4.019 1.510
Fe 6.320 -6.120 3.843
Fe 0.069 -2.996 4.837
V 2.478 -5.758 3.607
V -7.519 -3.955 0.233
V -3.308 -4.794 4.287
V 4.101 -6.725 -3.194
V 1.919 -1.915 8.055
V -1.269 -7.079 -0.762
CELL_PARAMETERS angstrom
4.912 -7.208 -6.594
4.533 -0.475 9.939
-10.644 -2.393 0.730
```

---

Record 5
Here is a relaxed structure of Ca3V6Fe4O24 from Materials Project. Energies are from PBE with a Hubbard U. Values from VASP.

## Properties
Calculated density, Mg/m³: 3.29
E_form, eV per formula unit: -89.4
Space group: P-1, No. 2

Structure (Quantum ESPRESSO input):
```
&SYSTEM
  ibrav = 0, nat = 37, ntyp = 4
/
ATOMIC_SPECIES
V 50.94 V.upf
O 16.00 O.upf
Fe 55.84 Fe.upf
Ca 40.08 Ca.upf
ATOMIC_POSITIONS angstrom
V 3.235 1.662 1.233
V -0.646 4.637 2.363
V -0.361 -0.383 3.017
V 2.362 5.232 6.026
V 2.647 0.212 6.680
V -1.234 3.188 7.809
O 3.300 0.412 5.045
O 1.860 2.080 0.171
O 1.033 -1.168 3.840
O -2.717 3.287 8.693
O -0.223 3.152 1.640
O 2.713 3.803 5.252
O -0.969 4.617 6.874
O 3.818 -0.649 7.689
O 0.781 5.627 2.467
O 2.224 1.697 7.403
O -0.019 -0.052 1.297
O -1.442 1.899 6.664
O -0.993 -2.144 5.866
O 2.994 6.993 3.177
O -1.298 4.438 3.997
O -0.712 1.047 3.791
O 3.444 2.950 2.379
O 1.221 -0.777 6.575
O 0.968 6.017 5.202
O 2.020 4.901 7.745
O 0.141 2.770 8.872
O 4.718 1.563 0.350
O -1.817 5.499 1.354
O 2.970 0.232 2.169
Fe 2.196 3.185 8.789
Fe -1.093 5.887 5.437
Fe -0.195 1.664 0.254
Fe 3.094 -1.037 3.606
Ca 2.862 5.089 1.847
Ca -2.439 2.425 4.521
Ca -0.861 -0.240 7.196
CELL_PARAMETERS angstrom
6.880 0.000 0.000
-2.079 8.377 0.000
-2.800 -3.528 9.043
```

---

Record 6
Here is a relaxed structure of Ca2FeWO6 from Materials Project. Energies are from PBE with a Hubbard U. Values from VASP.

## Properties
Calculated density, Mg/m³: 5.53
E_form, eV per formula unit: -25.0
Space group: Pmm2, No. 25

Structure (Quantum ESPRESSO input):
```
&SYSTEM
  ibrav = 0, nat = 20, ntyp = 4
/
ATOMIC_SPECIES
W 183.84 W.upf
O 16.00 O.upf
Ca 40.08 Ca.upf
Fe 55.84 Fe.upf
ATOMIC_POSITIONS angstrom
W -1.922 -3.747 3.748
W -0.140 -0.052 -0.008
O -0.386 -3.655 2.492
O -3.489 -3.848 5.005
O -1.404 -5.516 4.364
O -4.832 -0.376 3.703
O -2.626 -2.046 3.122
O 1.714 -5.330 1.881
O -1.736 -0.192 1.172
O 0.479 -1.824 0.626
O -4.396 -1.153 1.106
O -3.041 -4.645 2.339
O -2.201 0.635 3.937
O -0.833 -2.860 5.153
Ca -3.873 -6.397 4.213
Ca -2.003 -2.835 0.511
Ca -5.071 -2.996 2.995
Ca -0.822 -6.188 1.712
Fe 1.180 -3.546 1.258
Fe -3.216 -0.244 2.484
CELL_PARAMETERS angstrom
-0.888 1.579 5.282
-5.309 -1.978 -0.301
2.482 -7.046 2.523
```

---

Record 7
Here is a relaxed structure of Ca3Fe4W6O24 from Materials Project. Energies are from PBE with a Hubbard U. Values from VASP.

## Properties
Calculated density, Mg/m³: 5.09
E_form, eV per formula unit: -81.8
Space group: P-1, No. 2

Structure (Quantum ESPRESSO input):
```
&SYSTEM
  ibrav = 0, nat = 37, ntyp = 4
/
ATOMIC_SPECIES
O 16.00 O.upf
Fe 55.84 Fe.upf
Ca 40.08 Ca.upf
W 183.84 W.upf
ATOMIC_POSITIONS angstrom
O 2.242 0.691 7.024
O 2.253 0.210 9.909
O -1.923 0.641 2.977
O -3.260 2.412 4.874
O -3.736 -0.832 4.855
O 4.100 2.931 4.723
O 2.763 4.702 6.620
O -0.399 4.922 5.626
O 0.090 5.001 8.514
O -1.359 0.449 6.201
O -2.203 3.364 7.374
O 0.812 3.673 0.957
O 0.028 1.670 8.640
O -1.402 4.652 2.573
O 2.768 2.957 8.945
O -1.413 5.133 -0.312
O 5.178 0.399 4.174
O -4.337 4.944 5.423
O 3.043 1.979 2.223
O 2.199 4.894 3.396
O 4.576 6.175 4.742
O -1.928 2.386 0.652
O 0.750 0.342 1.083
O 1.239 0.421 3.971
Fe -1.933 1.247 8.053
Fe -1.391 0.081 1.116
Fe 2.773 4.096 1.544
Fe 2.231 5.262 8.481
Ca -3.498 4.126 3.456
Ca 4.338 1.217 6.141
Ca 0.618 -0.858 5.829
W 3.386 4.684 4.881
W -1.205 4.903 7.226
W -2.546 0.659 4.716
W 2.045 0.440 2.370
W 1.800 1.411 8.660
W -0.960 3.932 0.936
CELL_PARAMETERS angstrom
-0.397 7.059 -2.062
-7.029 -1.051 5.072
8.266 -0.666 6.587
```

---

Record 8
Here is a relaxed structure of Ca8Fe5W3O24 from Materials Project. Energies are from PBE with a Hubbard U. Values from VASP.

## Properties
Calculated density, Mg/m³: 5.30
E_form, eV per formula unit: -103.7
Space group: P-1, No. 2

Structure (Quantum ESPRESSO input):
```
&SYSTEM
  ibrav = 0, nat = 40, ntyp = 4
/
ATOMIC_SPECIES
O 16.00 O.upf
Ca 40.08 Ca.upf
W 183.84 W.upf
Fe 55.84 Fe.upf
ATOMIC_POSITIONS angstrom
O -3.266 3.871 3.310
O 2.256 2.758 1.481
O -1.212 5.811 2.816
O 1.160 -2.769 6.216
O 0.111 2.836 6.110
O 2.007 1.734 4.049
O -2.309 0.284 7.551
O -0.378 -2.433 3.722
O -0.164 0.206 2.922
O -2.545 6.278 5.297
O -2.003 -2.678 7.237
O 1.950 5.719 1.794
O 0.325 5.475 5.310
O -5.517 -0.239 3.008
O 0.404 -0.005 5.684
O 3.213 -0.829 5.721
O -0.456 3.047 3.348
O 3.896 3.643 3.473
O -2.059 1.308 4.983
O 2.576 4.086 6.038
O 2.492 -3.237 3.734
O -3.948 -0.601 5.559
O 5.465 3.281 6.023
O -2.628 -1.044 2.994
Ca 1.476 4.315 3.608
Ca 1.825 -0.953 3.869
Ca -1.878 3.995 5.163
Ca -1.529 -1.274 5.423
Ca -3.236 1.319 2.918
Ca 3.183 1.723 6.114
Ca -0.170 1.310 7.905
Ca 0.118 1.731 1.127
W 0.858 4.462 6.903
W 3.464 1.883 2.751
W -0.910 -1.421 2.128
Fe 4.342 4.833 5.125
Fe -4.395 -1.791 3.906
Fe 1.804 4.393 0.220
Fe -1.686 4.031 1.984
Fe -0.026 1.521 4.516
CELL_PARAMETERS angstrom
-6.981 -0.724 3.529
3.319 -5.021 5.063
3.609 8.786 0.440
```

---

> Number 1 is which compound?

Ca2TbFeO6